Record 1
A relaxed structure of Li8VO6, computed with PBE+U.

Summary:
energy of formation = -2.200 eV per atom
final energy = -0.199 Ha/atom

Lattice parameters (Å, degrees): 5.9264 5.9264 5.9264 54.77 54.77 54.77
Element x y z (fractional)
1 Li 0.0082 0.4011 0.7355
2 Li 0.1584 0.1584 0.1584
3 Li 0.2645 0.9918 0.5989
4 Li 0.4011 0.7355 0.0082
5 Li 0.5989 0.2645 0.9918
6 Li 0.7355 0.0082 0.4011
7 Li 0.8416 0.8416 0.8416
8 Li 0.9918 0.5989 0.2645
9 V 0.5000 0.5000 0.5000
10 O 0.1247 0.7338 0.4051
11 O 0.2662 0.5949 0.8753
12 O 0.4051 0.1247 0.7338
13 O 0.5949 0.8753 0.2662
14 O 0.7338 0.4051 0.1247
15 O 0.8753 0.2662 0.5949

Record 2
A relaxed structure of Li2V6O13, computed with PBE+U.

Summary:
energy of formation = -2.427 eV per atom
final energy = -0.270 Ha/atom

Lattice parameters (Å, degrees): 6.3362 6.3362 11.1589 100.63 100.63 34.02
Element x y z (fractional)
1 Li 0.0918 0.0918 0.1366
2 Li 0.9082 0.9082 0.8634
3 V 0.2948 0.2948 0.6355
4 V 0.3542 0.3542 0.0507
5 V 0.4080 0.4080 0.3914
6 V 0.5920 0.5920 0.6086
7 V 0.6458 0.6458 0.9493
8 V 0.7052 0.7052 0.3645
9 O 0.1235 0.1235 0.6209
10 O 0.1818 0.1818 0.0071
11 O 0.2419 0.2419 0.4064
12 O 0.3467 0.3467 0.7862
13 O 0.3905 0.3905 0.2062
14 O 0.4335 0.4335 0.5715
15 O 0.5000 0.5000 0.0000
16 O 0.5665 0.5665 0.4285
17 O 0.6095 0.6095 0.7938
18 O 0.6533 0.6533 0.2138
19 O 0.7581 0.7581 0.5936
20 O 0.8182 0.8182 0.9929
21 O 0.8765 0.8765 0.3791

Record 3
A relaxed structure of Li5V5O12, computed with PBE+U.

Summary:
energy of formation = -2.426 eV per atom
final energy = -0.252 Ha/atom

Lattice parameters (Å, degrees): 5.0901 5.1025 19.7808 87.33 85.36 60.52
Element x y z (fractional)
1 Li 0.0000 0.0000 0.0000
2 Li 0.0317 0.6828 0.8765
3 Li 0.1420 0.0001 0.6235
4 Li 0.2238 0.3290 0.3766
5 Li 0.2857 0.6721 0.1235
6 Li 0.3599 0.9954 0.8765
7 Li 0.5041 0.9990 0.5006
8 Li 0.5480 0.6802 0.3768
9 Li 0.6399 0.9935 0.1236
10 Li 0.7885 0.6770 0.6237
11 V 0.0792 0.3390 0.7503
12 V 0.1638 0.6745 0.4981
13 V 0.2469 0.0044 0.2497
14 V 0.3361 0.3282 0.9991
15 V 0.4194 0.6633 0.7506
16 V 0.5872 0.3340 0.2499
17 V 0.6669 0.6668 0.0013
18 V 0.7474 0.0058 0.7502
19 V 0.8298 0.3294 0.5014
20 V 0.9182 0.6691 0.2504
21 O 0.0301 0.3522 0.9483
22 O 0.0729 0.9981 0.8061
23 O 0.0930 0.6731 0.6954
24 O 0.1091 0.3565 0.5533
25 O 0.1672 0.9871 0.4468
26 O 0.2381 0.6591 0.3049
27 O 0.2698 0.3435 0.1951
28 O 0.3663 0.9701 0.0554
29 O 0.3732 0.3334 0.8052
30 O 0.3785 0.6494 0.9473
31 O 0.4273 0.9997 0.6951
32 O 0.4716 0.6460 0.5526
33 O 0.5066 0.3656 0.4477
34 O 0.5636 0.9963 0.3059
35 O 0.5965 0.6800 0.1954
36 O 0.6161 0.3520 0.0527
37 O 0.6603 0.9750 0.9451
38 O 0.7371 0.6681 0.8056
39 O 0.7943 0.3350 0.6947
40 O 0.8577 0.9726 0.5543
41 O 0.8877 0.6320 0.4459
42 O 0.9008 0.3571 0.3051
43 O 0.9337 0.9800 0.1941
44 O 0.9734 0.6492 0.0524